[1]
Li2MnVP3O12 | PBE+U | relaxed

a b c (Å): 8.258 8.329 8.981
angles (deg): 62.38 88.78 60.57
Positions (direct):
Li  0.000  0.000  0.000
Li  0.181  0.306  0.509
Li  0.501  0.556  0.497
Li  0.744  0.992  0.491
Mn  0.301  0.643  0.945
Mn  0.587  0.083  0.811
V  0.096  0.069  0.327
V  0.783  0.677  0.412
P  0.176  0.590  0.622
P  0.402  0.871  0.124
P  0.476  0.863  0.627
P  0.699  0.159  0.127
P  0.897  0.160  0.621
P  0.984  0.575  0.121
O  0.041  0.977  0.796
O  0.192  0.510  0.113
O  0.213  0.568  0.797
O  0.226  0.751  0.481
O  0.276  0.024  0.190
O  0.276  0.049  0.489
O  0.292  0.780  0.094
O  0.304  0.375  0.629
O  0.437  0.999  0.953
O  0.453  0.727  0.800
O  0.569  0.373  0.113
O  0.572  0.976  0.641
O  0.593  0.681  0.275
O  0.605  0.711  0.558
O  0.665  0.989  0.274
O  0.684  0.239  0.632
O  0.685  0.157  0.957
O  0.830  0.764  0.957
O  0.919  0.075  0.181
O  0.919  0.093  0.482
O  0.920  0.355  0.557
O  0.958  0.682  0.555
O  0.959  0.624  0.276
O  0.977  0.369  0.193

Properties
* formation energy from the elements: -2.583 eV per atom
* E: -7.11 eV/atom
* crystal system: triclinic
* distance to the lowest polymorph of the same formula: 16.2 meV/atom

[2]
P4WO12 | PBE+U | relaxed

a b c (Å): 10.593 10.593 5.380
angles (deg): 98.53 98.53 71.58
Positions (direct):
P  0.133  0.719  0.819
P  0.202  0.446  0.539
P  0.281  0.867  0.181
P  0.446  0.202  0.539
P  0.554  0.798  0.461
P  0.719  0.133  0.819
P  0.798  0.554  0.461
P  0.867  0.281  0.181
W  0.000  0.500  0.000
W  0.500  0.000  0.000
O  0.056  0.831  0.678
O  0.061  0.660  0.980
O  0.112  0.409  0.689
O  0.167  0.431  0.253
O  0.169  0.944  0.322
O  0.218  0.588  0.631
O  0.264  0.736  0.000
O  0.340  0.939  0.020
O  0.354  0.354  0.592
O  0.409  0.112  0.689
O  0.412  0.782  0.369
O  0.431  0.167  0.253
O  0.569  0.833  0.747
O  0.588  0.218  0.631
O  0.591  0.888  0.311
O  0.646  0.646  0.408
O  0.660  0.061  0.980
O  0.736  0.264  0.000
O  0.782  0.412  0.369
O  0.831  0.056  0.678
O  0.833  0.569  0.747
O  0.888  0.591  0.311
O  0.939  0.340  0.020
O  0.944  0.169  0.322

Properties
* formation energy from the elements: -2.461 eV per atom
* E: -7.24 eV/atom
* crystal system: monoclinic
* distance to the lowest polymorph of the same formula: 18.7 meV/atom

[3]
Li8Mn3Fe5B8O24 | PBE+U | relaxed

a b c (Å): 6.044 9.712 9.775
angles (deg): 65.02 79.57 78.27
Positions (direct):
Li  0.000  0.000  0.000
Li  0.000  0.499  0.499
Li  0.408  0.565  0.370
Li  0.409  0.067  0.871
Li  0.500  0.001  0.500
Li  0.502  0.500  0.002
Li  0.909  0.567  0.871
Li  0.910  0.067  0.372
Mn  0.268  0.826  0.810
Mn  0.767  0.825  0.310
Mn  0.768  0.327  0.810
Fe  0.139  0.742  0.556
Fe  0.141  0.242  0.057
Fe  0.270  0.323  0.309
Fe  0.636  0.243  0.555
Fe  0.640  0.741  0.056
B  0.119  0.167  0.645
B  0.122  0.663  0.148
B  0.289  0.400  0.722
B  0.289  0.899  0.223
B  0.621  0.166  0.149
B  0.621  0.666  0.647
B  0.789  0.901  0.722
B  0.792  0.400  0.223
O  0.119  0.895  0.342
O  0.121  0.396  0.842
O  0.131  0.545  0.290
O  0.132  0.050  0.789
O  0.276  0.020  0.082
O  0.276  0.519  0.582
O  0.292  0.172  0.528
O  0.296  0.668  0.032
O  0.439  0.287  0.122
O  0.440  0.787  0.618
O  0.469  0.278  0.746
O  0.469  0.778  0.246
O  0.621  0.396  0.340
O  0.621  0.896  0.842
O  0.630  0.550  0.791
O  0.631  0.049  0.291
O  0.776  0.020  0.582
O  0.779  0.519  0.082
O  0.793  0.169  0.032
O  0.795  0.667  0.533
O  0.937  0.287  0.618
O  0.941  0.785  0.120
O  0.969  0.778  0.746
O  0.972  0.278  0.248

Properties
* formation energy from the elements: -2.395 eV per atom
* E: -7.07 eV/atom
* crystal system: triclinic
* distance to the lowest polymorph of the same formula: 2.2 meV/atom

[4]
K10MgMo7O27 | PBE+U | relaxed

a b c (Å): 18.729 8.079 10.775
angles (deg): 90.00 90.00 90.00
Positions (direct):
K  0.000  0.096  0.000
K  0.000  0.380  0.646
K  0.141  0.381  0.244
K  0.152  0.733  0.887
K  0.179  0.055  0.573
K  0.184  0.261  0.902
K  0.316  0.739  0.402
K  0.321  0.945  0.073
K  0.348  0.267  0.387
K  0.359  0.619  0.744
K  0.500  0.620  0.146
K  0.500  0.904  0.500
K  0.641  0.619  0.744
K  0.652  0.267  0.387
K  0.679  0.945  0.073
K  0.684  0.739  0.402
K  0.816  0.261  0.902
K  0.821  0.055  0.573
K  0.848  0.733  0.887
K  0.859  0.381  0.244
Mg  0.000  0.710  0.392
Mg  0.500  0.290  0.892
Mo  0.000  0.109  0.379
Mo  0.000  0.559  0.064
Mo  0.000  0.898  0.701
Mo  0.154  0.907  0.227
Mo  0.166  0.537  0.556
Mo  0.334  0.463  0.056
Mo  0.346  0.093  0.727
Mo  0.500  0.102  0.201
Mo  0.500  0.441  0.564
Mo  0.500  0.891  0.879
Mo  0.654  0.093  0.727
Mo  0.666  0.463  0.056
Mo  0.834  0.537  0.556
Mo  0.846  0.907  0.227
O  0.000  0.197  0.229
O  0.000  0.570  0.233
O  0.000  0.688  0.743
O  0.000  0.766  0.006
O  0.000  0.913  0.530
O  0.069  0.900  0.317
O  0.075  0.205  0.451
O  0.077  0.000  0.764
O  0.078  0.451  0.010
O  0.084  0.593  0.478
O  0.145  0.028  0.088
O  0.146  0.402  0.684
O  0.180  0.705  0.184
O  0.210  0.720  0.613
O  0.223  0.994  0.321
O  0.226  0.440  0.447
O  0.274  0.560  0.947
O  0.277  0.006  0.821
O  0.290  0.280  0.113
O  0.320  0.295  0.684
O  0.354  0.598  0.184
O  0.355  0.972  0.588
O  0.416  0.407  0.978
O  0.422  0.549  0.510
O  0.423  0.000  0.264
O  0.425  0.795  0.951
O  0.431  0.100  0.817
O  0.500  0.087  0.030
O  0.500  0.234  0.506
O  0.500  0.312  0.243
O  0.500  0.430  0.733
O  0.500  0.803  0.729
O  0.569  0.100  0.817
O  0.575  0.795  0.951
O  0.577  0.000  0.264
O  0.578  0.549  0.510
O  0.584  0.407  0.978
O  0.645  0.972  0.588
O  0.646  0.598  0.184
O  0.680  0.295  0.684
O  0.710  0.280  0.113
O  0.723  0.006  0.821
O  0.726  0.560  0.947
O  0.774  0.440  0.447
O  0.777  0.994  0.321
O  0.790  0.720  0.613
O  0.820  0.705  0.184
O  0.854  0.402  0.684
O  0.855  0.028  0.088
O  0.916  0.593  0.478
O  0.922  0.451  0.010
O  0.923  0.000  0.764
O  0.925  0.205  0.451
O  0.931  0.900  0.317

Properties
* formation energy from the elements: -2.223 eV per atom
* E: -6.25 eV/atom
* crystal system: orthorhombic

[5]
LiVO2F2 | PBE+U | relaxed

a b c (Å): 8.940 5.425 6.874
angles (deg): 90.00 90.00 90.00
Positions (direct):
Li  0.224  0.018  0.000
Li  0.276  0.018  0.500
Li  0.724  0.982  0.000
Li  0.776  0.982  0.500
V  0.056  0.548  0.623
V  0.444  0.548  0.123
V  0.556  0.452  0.623
V  0.944  0.452  0.123
O  0.023  0.470  0.865
O  0.217  0.698  0.616
O  0.283  0.698  0.116
O  0.477  0.470  0.365
O  0.523  0.530  0.865
O  0.717  0.302  0.616
O  0.783  0.302  0.116
O  0.977  0.530  0.365
F  0.077  0.183  0.141
F  0.115  0.222  0.566
F  0.385  0.222  0.066
F  0.423  0.183  0.641
F  0.577  0.817  0.141
F  0.615  0.778  0.566
F  0.885  0.778  0.066
F  0.923  0.817  0.641

Properties
* formation energy from the elements: -2.650 eV per atom
* E: -6.10 eV/atom
* crystal system: orthorhombic
* distance to the lowest polymorph of the same formula: 67.1 meV/atom

[6]
Li4Ti5Cr3O16 | PBE+U | relaxed

a b c (Å): 5.925 5.925 9.560
angles (deg): 90.09 90.09 60.01
Positions (direct):
Li  0.000  0.000  0.000
Li  0.000  0.000  0.497
Li  0.335  0.335  0.398
Li  0.666  0.666  0.902
Ti  0.165  0.656  0.722
Ti  0.332  0.332  0.001
Ti  0.656  0.165  0.722
Ti  0.659  0.659  0.495
Ti  0.825  0.825  0.227
Cr  0.170  0.170  0.715
Cr  0.340  0.829  0.215
Cr  0.829  0.340  0.215
O  0.000  0.000  0.812
O  0.039  0.483  0.843
O  0.165  0.663  0.099
O  0.168  0.168  0.098
O  0.333  0.828  0.599
O  0.337  0.337  0.607
O  0.480  0.480  0.845
O  0.483  0.039  0.843
O  0.522  0.522  0.345
O  0.523  0.963  0.345
O  0.663  0.165  0.099
O  0.672  0.672  0.107
O  0.828  0.333  0.599
O  0.832  0.832  0.601
O  0.963  0.523  0.345
O  0.997  0.997  0.310

Properties
* formation energy from the elements: -2.950 eV per atom
* E: -7.89 eV/atom
* crystal system: monoclinic

[7]
NiP4O11 | PBE+U | relaxed

a b c (Å): 9.545 8.162 13.336
angles (deg): 90.00 123.49 90.00
Positions (direct):
Ni  0.247  0.014  0.282
Ni  0.247  0.486  0.782
Ni  0.753  0.514  0.218
Ni  0.753  0.986  0.718
P  0.138  0.114  0.825
P  0.138  0.386  0.325
P  0.317  0.612  0.256
P  0.317  0.888  0.756
P  0.330  0.502  0.573
P  0.330  0.998  0.073
P  0.333  0.625  0.044
P  0.333  0.875  0.544
P  0.667  0.125  0.456
P  0.667  0.375  0.956
P  0.670  0.002  0.927
P  0.670  0.498  0.427
P  0.683  0.112  0.244
P  0.683  0.388  0.744
P  0.862  0.614  0.675
P  0.862  0.886  0.175
O  0.012  0.579  0.670
O  0.012  0.921  0.170
O  0.153  0.240  0.267
O  0.153  0.260  0.767
O  0.172  0.550  0.269
O  0.172  0.950  0.769
O  0.230  0.542  0.926
O  0.230  0.958  0.426
O  0.245  0.067  0.128
O  0.245  0.433  0.628
O  0.253  0.568  0.122
O  0.253  0.932  0.622
O  0.278  0.680  0.522
O  0.278  0.820  0.022
O  0.305  0.103  0.965
O  0.305  0.397  0.465
O  0.363  0.715  0.790
O  0.363  0.785  0.290
O  0.469  0.012  0.838
O  0.469  0.488  0.338
O  0.481  0.117  0.378
O  0.481  0.383  0.878
O  0.519  0.617  0.122
O  0.519  0.883  0.622
O  0.531  0.512  0.662
O  0.531  0.988  0.162
O  0.637  0.215  0.710
O  0.637  0.285  0.210
O  0.695  0.603  0.535
O  0.695  0.897  0.035
O  0.722  0.180  0.978
O  0.722  0.320  0.478
O  0.747  0.068  0.378
O  0.747  0.432  0.878
O  0.755  0.567  0.372
O  0.755  0.933  0.872
O  0.770  0.042  0.574
O  0.770  0.458  0.074
O  0.828  0.050  0.231
O  0.828  0.450  0.731
O  0.847  0.740  0.233
O  0.847  0.760  0.733
O  0.988  0.079  0.830
O  0.988  0.421  0.330

Properties
* formation energy from the elements: -2.426 eV per atom
* E: -6.91 eV/atom
* crystal system: monoclinic
* distance to the lowest polymorph of the same formula: 0.0 meV/atom

[8]
Fe2O3 | PBE+U | relaxed

a b c (Å): 7.524 5.173 5.325
angles (deg): 90.00 90.00 90.00
Positions (direct):
Fe  0.112  0.248  0.031
Fe  0.112  0.752  0.531
Fe  0.388  0.252  0.531
Fe  0.388  0.748  0.031
Fe  0.612  0.252  0.969
Fe  0.612  0.748  0.469
Fe  0.888  0.248  0.469
Fe  0.888  0.752  0.969
O  0.000  0.048  0.750
O  0.000  0.952  0.250
O  0.153  0.393  0.397
O  0.153  0.607  0.897
O  0.347  0.107  0.897
O  0.347  0.893  0.397
O  0.500  0.452  0.250
O  0.500  0.548  0.750
O  0.653  0.107  0.603
O  0.653  0.893  0.103
O  0.847  0.393  0.103
O  0.847  0.607  0.603

Properties
* formation energy from the elements: -1.576 eV per atom
* E: -6.62 eV/atom
* crystal system: orthorhombic

[9]
Li2VCrP2O8F2 | PBE+U | relaxed

a b c (Å): 6.962 7.343 7.986
angles (deg): 90.68 91.62 117.59
Positions (direct):
Li  0.057  0.312  0.173
Li  0.442  0.688  0.328
Li  0.558  0.312  0.672
Li  0.943  0.688  0.827
V  0.000  0.000  0.500
V  0.500  0.500  0.000
Cr  0.000  0.500  0.500
Cr  0.500  0.000  0.000
P  0.020  0.739  0.159
P  0.483  0.262  0.341
P  0.517  0.738  0.659
P  0.980  0.261  0.841
O  0.019  0.108  0.733
O  0.104  0.613  0.270
O  0.177  0.843  0.016
O  0.191  0.414  0.939
O  0.308  0.583  0.560
O  0.325  0.155  0.483
O  0.397  0.388  0.231
O  0.480  0.891  0.767
O  0.520  0.109  0.233
O  0.603  0.612  0.769
O  0.675  0.845  0.517
O  0.692  0.417  0.440
O  0.809  0.586  0.061
O  0.823  0.157  0.984
O  0.896  0.387  0.730
O  0.981  0.892  0.267
F  0.029  0.759  0.600
F  0.471  0.233  0.900
F  0.529  0.767  0.100
F  0.971  0.241  0.400

Properties
* formation energy from the elements: -2.787 eV per atom
* E: -6.95 eV/atom
* crystal system: triclinic
* distance to the lowest polymorph of the same formula: 11.4 meV/atom